Entry 1:
Ba8Ge43 after structural relaxation. Source: Materials Project, functional PBE.

Summary:
Magnetic moment = 0.000 μB/f.u.
ΔE to the lowest computed polymorph = 0 meV/atom
SG = Ia-3d
Energy of formation = -20.97 kJ per mole of atoms

Lattice parameters (Å, degrees): 18.7755 18.7755 18.7755 109.47 109.47 109.47
Element x y z (fractional)
Ba 0.0000 0.0000 0.0000
Ba 0.0000 0.0000 0.5000
Ba 0.0000 0.5000 0.0000
Ba 0.0000 0.5000 0.5000
Ba 0.1222 0.7500 0.3778
Ba 0.1222 0.8722 0.7444
Ba 0.1278 0.2556 0.8778
Ba 0.1278 0.3722 0.2500
Ba 0.2444 0.3722 0.6222
Ba 0.2500 0.1278 0.3722
Ba 0.2500 0.6222 0.8778
Ba 0.2556 0.8778 0.1278
Ba 0.3722 0.2500 0.1278
Ba 0.3722 0.6222 0.2444
Ba 0.3778 0.1222 0.7500
Ba 0.3778 0.7556 0.6278
Ba 0.5000 0.0000 0.0000
Ba 0.5000 0.0000 0.5000
Ba 0.5000 0.5000 0.0000
Ba 0.5000 0.5000 0.5000
Ba 0.6222 0.2444 0.3722
Ba 0.6222 0.8778 0.2500
Ba 0.6278 0.3778 0.7556
Ba 0.6278 0.7500 0.8722
Ba 0.7444 0.1222 0.8722
Ba 0.7500 0.3778 0.1222
Ba 0.7500 0.8722 0.6278
Ba 0.7556 0.6278 0.3778
Ba 0.8722 0.6278 0.7500
Ba 0.8722 0.7444 0.1222
Ba 0.8778 0.1278 0.2556
Ba 0.8778 0.2500 0.6222
Ge 0.0000 0.1834 0.5000
Ge 0.0000 0.3166 0.5000
Ge 0.0000 0.6834 0.5000
Ge 0.0000 0.8166 0.5000
Ge 0.0010 0.0049 0.1857
Ge 0.0010 0.4961 0.8153
Ge 0.0039 0.0049 0.3192
Ge 0.0039 0.4990 0.6847
Ge 0.0049 0.1857 0.0010
Ge 0.0049 0.3192 0.0039
Ge 0.0554 0.7093 0.1528
Ge 0.0554 0.8461 0.9026
Ge 0.0565 0.6539 0.7093
Ge 0.0565 0.9026 0.3472
Ge 0.0639 0.2315 0.6655
Ge 0.0639 0.3324 0.3984
Ge 0.0660 0.1676 0.2315
Ge 0.0660 0.3984 0.8345
Ge 0.0974 0.6528 0.9435
Ge 0.0974 0.9446 0.1539
Ge 0.1016 0.1676 0.4361
Ge 0.1016 0.4340 0.6655
Ge 0.1250 0.7500 0.8750
Ge 0.1250 0.8750 0.2500
Ge 0.1528 0.0554 0.7093
Ge 0.1528 0.5974 0.4435
Ge 0.1539 0.0974 0.9446
Ge 0.1539 0.5565 0.2093
Ge 0.1655 0.7315 0.5639
Ge 0.1655 0.9340 0.6016
Ge 0.1676 0.2315 0.0660
Ge 0.1676 0.4361 0.1016
Ge 0.1808 0.1857 0.6847
Ge 0.1808 0.4951 0.4961
Ge 0.1834 0.1834 0.1834
Ge 0.1834 0.5000 0.0000
Ge 0.1847 0.6857 0.6808
Ge 0.1847 0.9990 0.5039
Ge 0.1857 0.0010 0.0049
Ge 0.1857 0.6847 0.1808
Ge 0.2093 0.1539 0.5565
Ge 0.2093 0.5554 0.6528
Ge 0.2315 0.0660 0.1676
Ge 0.2315 0.6655 0.0639
Ge 0.2500 0.1250 0.8750
Ge 0.2500 0.6250 0.3750
Ge 0.2685 0.3324 0.4340
Ge 0.2685 0.4361 0.8345
Ge 0.2907 0.8472 0.9446
Ge 0.2907 0.9435 0.3461
Ge 0.3143 0.3192 0.8153
Ge 0.3143 0.4951 0.4990
Ge 0.3153 0.8192 0.8143
Ge 0.3153 0.9961 0.5010
Ge 0.3166 0.3166 0.3166
Ge 0.3166 0.5000 0.0000
Ge 0.3192 0.0039 0.0049
Ge 0.3192 0.8153 0.3143
Ge 0.3324 0.3984 0.0639
Ge 0.3324 0.4340 0.2685
Ge 0.3345 0.8984 0.5660
Ge 0.3345 0.9361 0.7685
Ge 0.3461 0.2907 0.9435
Ge 0.3461 0.5554 0.4026
Ge 0.3472 0.0565 0.9026
Ge 0.3472 0.7907 0.4446
Ge 0.3750 0.2500 0.6250
Ge 0.3750 0.6250 0.7500
Ge 0.3984 0.0639 0.3324
Ge 0.3984 0.8345 0.0660
Ge 0.4026 0.3461 0.5554
Ge 0.4026 0.5565 0.8472
Ge 0.4340 0.2685 0.3324
Ge 0.4340 0.6655 0.1016
Ge 0.4361 0.1016 0.1676
Ge 0.4361 0.8345 0.2685
Ge 0.4435 0.1528 0.5974
Ge 0.4435 0.7907 0.8461
Ge 0.4446 0.3472 0.7907
Ge 0.4446 0.5974 0.6539
Ge 0.4951 0.4961 0.1808
Ge 0.4951 0.4990 0.3143
Ge 0.4961 0.1808 0.4951
Ge 0.4961 0.8153 0.0010
Ge 0.4990 0.3143 0.4951
Ge 0.4990 0.6847 0.0039
Ge 0.5000 0.0000 0.1834
Ge 0.5000 0.0000 0.3166
Ge 0.5000 0.0000 0.6834
Ge 0.5000 0.0000 0.8166
Ge 0.5010 0.3153 0.9961
Ge 0.5010 0.6857 0.5049
Ge 0.5039 0.1847 0.9990
Ge 0.5039 0.8192 0.5049
Ge 0.5049 0.5010 0.6857
Ge 0.5049 0.5039 0.8192
Ge 0.5554 0.4026 0.3461
Ge 0.5554 0.6528 0.2093
Ge 0.5565 0.2093 0.1539
Ge 0.5565 0.8472 0.4026
Ge 0.5639 0.1655 0.7315
Ge 0.5639 0.8984 0.8324
Ge 0.5660 0.3345 0.8984
Ge 0.5660 0.7315 0.6676
Ge 0.5974 0.4435 0.1528
Ge 0.5974 0.6539 0.4446
Ge 0.6016 0.1655 0.9340
Ge 0.6016 0.9361 0.6676
Ge 0.6250 0.3750 0.2500
Ge 0.6250 0.7500 0.3750
Ge 0.6528 0.2093 0.5554
Ge 0.6528 0.9435 0.0974
Ge 0.6539 0.4446 0.5974
Ge 0.6539 0.7093 0.0565
Ge 0.6655 0.0639 0.2315
Ge 0.6655 0.1016 0.4340
Ge 0.6676 0.5660 0.7315
Ge 0.6676 0.6016 0.9361
Ge 0.6808 0.1847 0.6857
Ge 0.6808 0.9961 0.9951
Ge 0.6834 0.5000 0.0000
Ge 0.6834 0.6834 0.6834
Ge 0.6847 0.0039 0.4990
Ge 0.6847 0.1808 0.1857
Ge 0.6857 0.5049 0.5010
Ge 0.6857 0.6808 0.1847
Ge 0.7093 0.0565 0.6539
Ge 0.7093 0.1528 0.0554
Ge 0.7315 0.5639 0.1655
Ge 0.7315 0.6676 0.5660
Ge 0.7500 0.3750 0.6250
Ge 0.7500 0.8750 0.1250
Ge 0.7685 0.3345 0.9361
Ge 0.7685 0.9340 0.8324
Ge 0.7907 0.4446 0.3472
Ge 0.7907 0.8461 0.4435
Ge 0.8143 0.3153 0.8192
Ge 0.8143 0.9990 0.9951
Ge 0.8153 0.0010 0.4961
Ge 0.8153 0.3143 0.3192
Ge 0.8166 0.5000 0.0000
Ge 0.8166 0.8166 0.8166
Ge 0.8192 0.5049 0.5039
Ge 0.8192 0.8143 0.3153
Ge 0.8324 0.5639 0.8984
Ge 0.8324 0.7685 0.9340
Ge 0.8345 0.0660 0.3984
Ge 0.8345 0.2685 0.4361
Ge 0.8461 0.4435 0.7907
Ge 0.8461 0.9026 0.0554
Ge 0.8472 0.4026 0.5565
Ge 0.8472 0.9446 0.2907
Ge 0.8750 0.1250 0.7500
Ge 0.8750 0.2500 0.1250
Ge 0.8984 0.5660 0.3345
Ge 0.8984 0.8324 0.5639
Ge 0.9026 0.0554 0.8461
Ge 0.9026 0.3472 0.0565
Ge 0.9340 0.6016 0.1655
Ge 0.9340 0.8324 0.7685
Ge 0.9361 0.6676 0.6016
Ge 0.9361 0.7685 0.3345
Ge 0.9435 0.0974 0.6528
Ge 0.9435 0.3461 0.2907
Ge 0.9446 0.1539 0.0974
Ge 0.9446 0.2907 0.8472
Ge 0.9951 0.6808 0.9961
Ge 0.9951 0.8143 0.9990
Ge 0.9961 0.5010 0.3153
Ge 0.9961 0.9951 0.6808
Ge 0.9990 0.5039 0.1847
Ge 0.9990 0.9951 0.8143

=====

Entry 2:
Ba5Ge3 after structural relaxation. Source: Materials Project, functional PBE.

Summary:
SG = P4/ncc
Energy of formation = -48.36 kJ per mole of atoms

Lattice parameters (Å, degrees): 8.6033 8.6033 16.8255 90.00 90.00 90.00
Element x y z (fractional)
Ba 0.0564 0.5826 0.1084
Ba 0.0564 0.9174 0.6084
Ba 0.0826 0.5564 0.3916
Ba 0.0826 0.9436 0.8916
Ba 0.2500 0.2500 0.2220
Ba 0.2500 0.2500 0.7220
Ba 0.4174 0.5564 0.8916
Ba 0.4174 0.9436 0.3916
Ba 0.4436 0.5826 0.6084
Ba 0.4436 0.9174 0.1084
Ba 0.5564 0.0826 0.8916
Ba 0.5564 0.4174 0.3916
Ba 0.5826 0.0564 0.6084
Ba 0.5826 0.4436 0.1084
Ba 0.7500 0.7500 0.2780
Ba 0.7500 0.7500 0.7780
Ba 0.9174 0.0564 0.1084
Ba 0.9174 0.4436 0.6084
Ba 0.9436 0.0826 0.3916
Ba 0.9436 0.4174 0.8916
Ge 0.1424 0.6424 0.7500
Ge 0.1424 0.8576 0.2500
Ge 0.2500 0.2500 0.0102
Ge 0.2500 0.2500 0.5102
Ge 0.3576 0.6424 0.2500
Ge 0.3576 0.8576 0.7500
Ge 0.6424 0.1424 0.2500
Ge 0.6424 0.3576 0.7500
Ge 0.7500 0.7500 0.4898
Ge 0.7500 0.7500 0.9898
Ge 0.8576 0.1424 0.7500
Ge 0.8576 0.3576 0.2500

=====

Entry 3:
BaGe2 after structural relaxation. Source: Materials Project, functional PBE.

Summary:
SG = Pnma
Energy of formation = -51.16 kJ per mole of atoms

Lattice parameters (Å, degrees): 9.2699 6.8770 11.7292 90.00 90.00 90.00
Element x y z (fractional)
Ba 0.0143 0.2500 0.1906
Ba 0.1525 0.7500 0.4067
Ba 0.3475 0.2500 0.9067
Ba 0.4857 0.7500 0.6906
Ba 0.5143 0.2500 0.3094
Ba 0.6525 0.7500 0.0933
Ba 0.8475 0.2500 0.5933
Ba 0.9857 0.7500 0.8094
Ge 0.0769 0.7500 0.0928
Ge 0.1920 0.0625 0.6497
Ge 0.1920 0.4375 0.6497
Ge 0.1951 0.2500 0.4593
Ge 0.3049 0.7500 0.9593
Ge 0.3080 0.5625 0.1497
Ge 0.3080 0.9375 0.1497
Ge 0.4231 0.2500 0.5928
Ge 0.5769 0.7500 0.4072
Ge 0.6920 0.0625 0.8503
Ge 0.6920 0.4375 0.8503
Ge 0.6951 0.2500 0.0407
Ge 0.8049 0.7500 0.5407
Ge 0.8080 0.5625 0.3503
Ge 0.8080 0.9375 0.3503
Ge 0.9231 0.2500 0.9072

=====

Entry 4:
BaGe5 after structural relaxation. Source: Materials Project, functional PBE.

Summary:
SG = Imma
Energy of formation = -20.05 kJ per mole of atoms

Lattice parameters (Å, degrees): 8.5367 8.5367 8.5367 147.01 119.78 70.40
Element x y z (fractional)
Ba 0.2830 0.0330 0.2500
Ba 0.7170 0.9670 0.7500
Ge 0.0953 0.1925 0.9028
Ge 0.0968 0.6209 0.4759
Ge 0.2102 0.8075 0.4028
Ge 0.3550 0.3791 0.9759
Ge 0.4597 0.7097 0.7500
Ge 0.5403 0.2903 0.2500
Ge 0.6450 0.6209 0.0241
Ge 0.7898 0.1925 0.5972
Ge 0.9032 0.3791 0.5241
Ge 0.9047 0.8075 0.0972

=====

Entry 5:
Ba2MgGe4Ir4 after structural relaxation. Source: Materials Project, functional PBE.

Summary:
Magnetic moment = 0.000 μB/f.u.
SG = Cmcm
Energy of formation = -58.29 kJ per mole of atoms

Lattice parameters (Å, degrees): 6.6559 6.6559 11.7269 90.00 90.00 65.41
Element x y z (fractional)
Ba 0.2048 0.2048 0.0000
Ba 0.2048 0.2048 0.5000
Ba 0.7952 0.7952 0.0000
Ba 0.7952 0.7952 0.5000
Mg 0.0190 0.9810 0.7500
Mg 0.9810 0.0190 0.2500
Ge 0.1074 0.5216 0.2500
Ge 0.3334 0.6666 0.5772
Ge 0.3334 0.6666 0.9228
Ge 0.4784 0.8926 0.2500
Ge 0.5216 0.1074 0.7500
Ge 0.6666 0.3334 0.0772
Ge 0.6666 0.3334 0.4228
Ge 0.8926 0.4784 0.7500
Ir 0.2421 0.5031 0.7500
Ir 0.3218 0.6782 0.1299
Ir 0.3218 0.6782 0.3701
Ir 0.4969 0.7579 0.7500
Ir 0.5031 0.2421 0.2500
Ir 0.6782 0.3218 0.6299
Ir 0.6782 0.3218 0.8701
Ir 0.7579 0.4969 0.2500

=====

Entry 6:
K4BaGe3O9 after structural relaxation. Source: Materials Project, functional PBE.

Summary:
Magnetic moment = 0.000 μB/f.u.
SG = C2
Corrected total energy (MP2020 scheme) = -207.2 eV/cell
Energy of formation = -220.57 kJ per mole of atoms

Lattice parameters (Å, degrees): 7.5679 7.5679 11.5656 90.28 90.28 111.61
Element x y z (fractional)
K 0.0000 0.0000 0.0000
K 0.1500 0.7436 0.7457
K 0.2564 0.8500 0.2543
K 0.2735 0.2754 0.7491
K 0.5167 0.4833 0.0000
K 0.5684 0.4316 0.5000
K 0.7246 0.7265 0.2509
K 0.9799 0.0201 0.5000
Ba 0.7496 0.2356 0.2297
Ba 0.7644 0.2504 0.7703
Ge 0.0743 0.5337 0.0309
Ge 0.0804 0.5255 0.4756
Ge 0.2341 0.3230 0.2581
Ge 0.4663 0.9257 0.9691
Ge 0.4745 0.9196 0.5244
Ge 0.6770 0.7659 0.7419
O 0.0284 0.4078 0.6078
O 0.0491 0.0998 0.2491
O 0.0770 0.3821 0.9177
O 0.1988 0.4930 0.1586
O 0.2177 0.7823 0.0000
O 0.2207 0.7793 0.5000
O 0.2353 0.4248 0.4019
O 0.4603 0.1405 0.9218
O 0.4648 0.3358 0.2392
O 0.4708 0.1034 0.6144
O 0.5070 0.8012 0.8414
O 0.5752 0.7647 0.5981
O 0.5922 0.9716 0.3922
O 0.6179 0.9230 0.0823
O 0.6642 0.5352 0.7608
O 0.8595 0.5397 0.0782
O 0.8966 0.5292 0.3856
O 0.9002 0.9509 0.7509

=====

Entry 7:
Ba4LaGe3SbSe13 after structural relaxation. Source: Materials Project, functional PBE.

Summary:
Magnetic moment = 0.001 μB/f.u.
SG = P2_1/c
Corrected total energy (MP2020 scheme) = -432.5 eV/cell
Energy of formation = -140.66 kJ per mole of atoms

Lattice parameters (Å, degrees): 16.6118 12.6927 13.2075 90.00 103.61 90.00
Element x y z (fractional)
Ba 0.0523 0.1768 0.4548
Ba 0.0523 0.3232 0.9548
Ba 0.1520 0.6730 0.3529
Ba 0.1520 0.8270 0.8529
Ba 0.2567 0.1695 0.7710
Ba 0.2567 0.3305 0.2710
Ba 0.3642 0.6842 0.6556
Ba 0.3642 0.8158 0.1556
Ba 0.6358 0.1842 0.8444
Ba 0.6358 0.3158 0.3444
Ba 0.7433 0.6695 0.7290
Ba 0.7433 0.8305 0.2290
Ba 0.8480 0.1730 0.1471
Ba 0.8480 0.3270 0.6471
Ba 0.9477 0.6768 0.0452
Ba 0.9477 0.8232 0.5452
La 0.3566 0.0220 0.4528
La 0.3566 0.4780 0.9528
La 0.6434 0.5220 0.0472
La 0.6434 0.9780 0.5472
Ge 0.1811 0.5903 0.0781
Ge 0.1811 0.9097 0.5781
Ge 0.3299 0.1171 0.0765
Ge 0.3299 0.3829 0.5765
Ge 0.4850 0.7327 0.9386
Ge 0.4850 0.7673 0.4386
Ge 0.5150 0.2327 0.5614
Ge 0.5150 0.2673 0.0614
Ge 0.6701 0.6171 0.4235
Ge 0.6701 0.8829 0.9235
Ge 0.8189 0.0903 0.4219
Ge 0.8189 0.4097 0.9219
Sb 0.0808 0.0179 0.1355
Sb 0.0808 0.4821 0.6355
Sb 0.9192 0.5179 0.3645
Sb 0.9192 0.9821 0.8645
Se 0.0535 0.2098 0.1924
Se 0.0535 0.2902 0.6924
Se 0.0836 0.0549 0.9395
Se 0.0836 0.4451 0.4395
Se 0.0906 0.0090 0.6586
Se 0.0906 0.4910 0.1586
Se 0.1492 0.7272 0.6026
Se 0.1492 0.7728 0.1026
Se 0.1624 0.5433 0.8992
Se 0.1624 0.9567 0.3992
Se 0.2619 0.2178 0.5156
Se 0.2619 0.2822 0.0156
Se 0.2693 0.0581 0.2157
Se 0.2693 0.4419 0.7157
Se 0.3195 0.5138 0.4503
Se 0.3199 0.5563 0.1640
Se 0.3199 0.9437 0.6640
Se 0.3195 0.9862 0.9503
Se 0.3367 0.7155 0.9074
Se 0.3367 0.7845 0.4074
Se 0.4516 0.2217 0.3838
Se 0.4516 0.2783 0.8838
Se 0.4789 0.1198 0.1545
Se 0.4789 0.3802 0.6545
Se 0.4968 0.0688 0.6426
Se 0.4968 0.4312 0.1426
Se 0.5032 0.5688 0.8574
Se 0.5032 0.9312 0.3574
Se 0.5211 0.6198 0.3455
Se 0.5211 0.8802 0.8455
Se 0.5484 0.7217 0.1162
Se 0.5484 0.7783 0.6162
Se 0.6633 0.2155 0.5926
Se 0.6633 0.2845 0.0926
Se 0.6805 0.0138 0.0497
Se 0.6801 0.0563 0.3360
Se 0.6801 0.4437 0.8360
Se 0.6805 0.4862 0.5497
Se 0.7307 0.5581 0.2843
Se 0.7307 0.9419 0.7843
Se 0.7381 0.7178 0.9844
Se 0.7381 0.7822 0.4844
Se 0.8376 0.0433 0.6008
Se 0.8376 0.4567 0.1008
Se 0.8508 0.2272 0.8974
Se 0.8508 0.2728 0.3974
Se 0.9094 0.5090 0.8414
Se 0.9094 0.9910 0.3414
Se 0.9164 0.5549 0.5605
Se 0.9164 0.9451 0.0605
Se 0.9465 0.7098 0.3076
Se 0.9465 0.7902 0.8076